## P
Compound: Mg2V3O8
Source: Materials Project
Functional: GGA+U
Structure: optimized geometry

Calculated values
As for the crystal system: triclinic. The calculation puts the size of the total moment at 3.0 μB per formula unit.

```
Mg2V3O8
1.0
4.924 0.000 0.000
0.002 5.949 0.000
1.151 0.013 9.795
Mg V O
4 6 16
direct
0.000 0.000 0.000 Mg
0.131 0.001 0.552 Mg
0.491 0.496 0.500 Mg
0.641 0.496 0.051 Mg
0.064 0.755 0.276 V
0.065 0.500 0.776 V
0.067 0.281 0.275 V
0.565 0.766 0.776 V
0.566 0.232 0.776 V
0.566 0.998 0.276 V
0.238 0.005 0.168 O
0.256 0.485 0.171 O
0.288 0.725 0.659 O
0.289 0.274 0.659 O
0.344 0.225 0.390 O
0.349 0.759 0.389 O
0.359 0.499 0.883 O
0.379 0.999 0.880 O
0.752 0.000 0.671 O
0.772 0.499 0.669 O
0.783 0.759 0.162 O
0.786 0.225 0.162 O
0.842 0.274 0.893 O
0.843 0.725 0.893 O
0.875 0.484 0.381 O
0.892 0.004 0.385 O
```

***

## Q
Compound: Mg2V3O8
Source: Materials Project
Functional: GGA+U
Structure: optimized geometry

Calculated values
As for the crystal system: monoclinic. The calculation puts the size of the total moment at 3.0 μB per formula unit.

```
Mg2V3O8
1.0
4.881 0.000 0.000
0.000 5.997 0.000
-1.186 0.000 9.771
Mg V O
4 6 16
direct
0.064 0.000 0.223 Mg
0.432 0.500 0.277 Mg
0.568 0.500 0.723 Mg
0.936 0.000 0.777 Mg
0.000 0.268 0.500 V
0.000 0.500 0.000 V
0.000 0.732 0.500 V
0.500 0.000 0.500 V
0.500 0.235 0.000 V
0.500 0.765 0.000 V
0.189 0.500 0.604 O
0.206 0.000 0.606 O
0.212 0.277 0.114 O
0.212 0.723 0.114 O
0.276 0.224 0.382 O
0.276 0.776 0.382 O
0.310 0.500 0.892 O
0.318 0.000 0.894 O
0.682 0.000 0.106 O
0.690 0.500 0.108 O
0.724 0.224 0.618 O
0.724 0.776 0.618 O
0.788 0.277 0.886 O
0.788 0.723 0.886 O
0.794 0.000 0.394 O
0.811 0.500 0.396 O
```

***

Short version: Q is the most stable of them.

***

## P
Compound: Mg2V3O8
Source: Materials Project
Functional: GGA+U
Structure: optimized geometry

Calculated values
As for the crystal system: hexagonal. The calculation puts the size of the total moment at 3.0 μB per formula unit.

```
Mg2V3O8
1.0
5.907 0.000 0.000
-2.954 5.116 0.000
0.000 0.000 9.522
Mg V O
4 6 16
direct
0.333 0.667 0.000 Mg
0.333 0.667 0.401 Mg
0.667 0.333 0.500 Mg
0.667 0.333 0.901 Mg
0.163 0.325 0.723 V
0.163 0.837 0.723 V
0.325 0.163 0.223 V
0.675 0.837 0.723 V
0.837 0.163 0.223 V
0.837 0.675 0.223 V
0.000 0.000 0.334 O
0.000 0.000 0.834 O
0.036 0.518 0.843 O
0.165 0.330 0.127 O
0.165 0.835 0.127 O
0.330 0.165 0.627 O
0.333 0.667 0.611 O
0.482 0.518 0.843 O
0.482 0.964 0.843 O
0.518 0.036 0.343 O
0.518 0.482 0.343 O
0.667 0.333 0.111 O
0.670 0.835 0.127 O
0.835 0.165 0.627 O
0.835 0.670 0.627 O
0.964 0.482 0.343 O
```

***

## Q
Compound: Mg2V3O8
Source: Materials Project
Functional: GGA+U
Structure: optimized geometry

Calculated values
As for the crystal system: trigonal. The calculation puts the size of the total moment at 0.0 μB per formula unit.

```
Mg2V3O8
1.0
5.916 0.000 0.000
-2.958 5.123 0.000
0.000 0.000 9.506
Mg V O
4 6 16
direct
0.333 0.667 0.000 Mg
0.333 0.667 0.399 Mg
0.667 0.333 0.500 Mg
0.667 0.333 0.899 Mg
0.162 0.326 0.722 V
0.164 0.838 0.722 V
0.326 0.162 0.222 V
0.674 0.836 0.722 V
0.836 0.674 0.222 V
0.838 0.164 0.222 V
0.000 0.000 0.331 O
0.000 0.000 0.831 O
0.037 0.532 0.843 O
0.148 0.327 0.123 O
0.178 0.852 0.123 O
0.327 0.148 0.623 O
0.333 0.667 0.610 O
0.468 0.506 0.843 O
0.494 0.963 0.843 O
0.506 0.468 0.343 O
0.532 0.037 0.343 O
0.667 0.333 0.110 O
0.673 0.822 0.123 O
0.822 0.673 0.623 O
0.852 0.178 0.623 O
0.963 0.494 0.343 O
```

***

Short version: Q is the most stable of them.

***

## P
Compound: MgV6O15
Source: Materials Project
Functional: GGA+U
Structure: optimized geometry

Calculated values
As for the crystal system: monoclinic. The calculation puts the size of the total moment at 2.0 μB per formula unit.

```
MgV6O15
1.0
7.758 -1.856 0.000
7.758 1.856 0.000
-3.402 0.000 9.828
Mg V O
1 6 15
direct
0.000 0.000 0.000 Mg
0.086 0.086 0.568 V
0.155 0.155 0.273 V
0.306 0.306 0.566 V
0.544 0.544 0.778 V
0.719 0.719 0.090 V
0.762 0.762 0.781 V
0.041 0.041 0.199 O
0.057 0.057 0.745 O
0.162 0.162 0.467 O
0.184 0.184 0.092 O
0.246 0.246 0.737 O
0.308 0.308 0.408 O
0.422 0.422 0.667 O
0.533 0.533 0.945 O
0.608 0.608 0.630 O
0.687 0.687 0.253 O
0.691 0.691 0.895 O
0.787 0.787 0.608 O
0.828 0.828 0.140 O
0.866 0.866 0.893 O
0.987 0.987 0.456 O
```

***

## Q
Compound: MgV6O15
Source: Materials Project
Functional: GGA+U
Structure: optimized geometry

Calculated values
As for the crystal system: monoclinic. The calculation puts the size of the total moment at 2.0 μB per formula unit.

```
MgV6O15
1.0
8.457 -1.839 0.000
8.457 1.839 0.000
-3.612 0.000 9.739
Mg V O
1 6 15
direct
0.000 0.000 0.000 Mg
0.185 0.185 0.018 V
0.224 0.224 0.697 V
0.368 0.368 0.000 V
0.643 0.643 0.228 V
0.802 0.802 0.535 V
0.853 0.853 0.237 V
0.085 0.085 0.910 O
0.124 0.124 0.636 O
0.160 0.160 0.194 O
0.251 0.251 0.887 O
0.272 0.272 0.546 O
0.335 0.335 0.177 O
0.416 0.416 0.883 O
0.537 0.537 0.114 O
0.642 0.642 0.385 O
0.713 0.713 0.079 O
0.758 0.758 0.690 O
0.788 0.788 0.348 O
0.889 0.889 0.061 O
0.903 0.903 0.606 O
0.946 0.946 0.350 O
```

***

## R
Compound: MgV6O15
Source: Materials Project
Functional: GGA+U
Structure: optimized geometry

Calculated values
As for the crystal system: monoclinic. The calculation puts the size of the total moment at 2.0 μB per formula unit.

```
MgV6O15
1.0
7.649 -1.810 0.000
7.649 1.810 0.000
-3.286 0.000 9.773
Mg V O
1 6 15
direct
0.000 0.000 0.000 Mg
0.140 0.140 0.522 V
0.309 0.309 0.824 V
0.352 0.352 0.505 V
0.681 0.681 0.288 V
0.716 0.716 0.976 V
0.905 0.905 0.286 V
0.017 0.017 0.399 O
0.123 0.123 0.669 O
0.197 0.197 0.343 O
0.259 0.259 0.974 O
0.279 0.279 0.617 O
0.381 0.381 0.321 O
0.426 0.426 0.906 O
0.453 0.453 0.616 O
0.576 0.576 0.172 O
0.601 0.601 0.936 O
0.650 0.650 0.473 O
0.751 0.751 0.179 O
0.768 0.768 0.820 O
0.831 0.831 0.446 O
0.920 0.920 0.132 O
```

***

Short version: P is the most stable of them.

***

## P
Compound: MgV5O12
Source: Materials Project
Functional: GGA+U
Structure: optimized geometry

Calculated values
As for the crystal system: triclinic. The calculation puts the size of the total moment at 3.0 μB per formula unit.

```
MgV5O12
1.0
5.080 0.000 0.000
0.163 5.409 0.000
0.027 0.650 7.446
Mg V O
1 5 12
direct
0.000 0.000 0.000 Mg
0.015 0.427 0.714 V
0.483 0.530 0.499 V
0.491 0.931 0.213 V
0.531 0.925 0.722 V
0.958 0.416 0.206 V
0.088 0.391 0.941 O
0.195 0.096 0.235 O
0.211 0.702 0.630 O
0.327 0.569 0.287 O
0.339 0.250 0.617 O
0.376 0.915 0.933 O
0.590 0.874 0.456 O
0.680 0.612 0.738 O
0.715 0.191 0.142 O
0.813 0.083 0.761 O
0.821 0.714 0.139 O
0.823 0.410 0.459 O
```

***

## Q
Compound: MgV5O12
Source: Materials Project
Functional: GGA+U
Structure: optimized geometry

Calculated values
As for the crystal system: monoclinic. The calculation puts the size of the total moment at 3.0 μB per formula unit.

```
MgV5O12
1.0
5.337 -4.355 0.000
5.337 4.355 0.000
-2.224 0.000 5.482
Mg V O
1 5 12
direct
0.000 0.000 0.000 Mg
0.123 0.457 0.021 V
0.349 0.061 0.465 V
0.543 0.877 0.979 V
0.808 0.192 0.500 V
0.939 0.651 0.535 V
0.071 0.660 0.854 O
0.095 0.162 0.422 O
0.100 0.586 0.328 O
0.340 0.929 0.146 O
0.359 0.352 0.040 O
0.414 0.900 0.672 O
0.512 0.234 0.541 O
0.648 0.641 0.960 O
0.743 0.028 0.116 O
0.766 0.488 0.459 O
0.838 0.905 0.578 O
0.972 0.257 0.884 O
```

***

## R
Compound: MgV5O12
Source: Materials Project
Functional: GGA+U
Structure: optimized geometry

Calculated values
As for the crystal system: triclinic. The calculation puts the size of the total moment at 3.0 μB per formula unit.

```
MgV5O12
1.0
5.082 0.000 0.000
-2.042 4.703 0.000
-0.262 -0.935 9.133
Mg V O
1 5 12
direct
0.000 0.000 0.000 Mg
0.289 0.994 0.623 V
0.378 0.448 0.836 V
0.390 0.750 0.142 V
0.764 0.393 0.156 V
0.827 0.844 0.417 V
0.061 0.735 0.246 O
0.087 0.100 0.791 O
0.098 0.430 0.027 O
0.165 0.156 0.487 O
0.322 0.708 0.755 O
0.409 0.057 0.048 O
0.537 0.552 0.272 O
0.570 0.923 0.506 O
0.591 0.337 0.726 O
0.650 0.636 0.001 O
0.783 0.093 0.233 O
0.930 0.655 0.532 O
```

***

Short version: P is the most stable of them.

***

## P
Compound: MgV5O12
Source: Materials Project
Functional: GGA+U
Structure: optimized geometry

Calculated values
As for the crystal system: triclinic. The calculation puts the size of the total moment at 3.0 μB per formula unit.

```
MgV5O12
1.0
5.953 0.000 0.000
1.852 6.513 0.000
2.010 0.833 6.453
Mg V O
1 5 12
direct
0.000 0.000 0.000 Mg
0.416 0.316 0.134 V
0.421 0.942 0.629 V
0.908 0.120 0.488 V
0.935 0.512 0.925 V
0.938 0.646 0.372 V
0.074 0.046 0.681 O
0.223 0.319 0.974 O
0.292 0.534 0.253 O
0.365 0.847 0.882 O
0.390 0.113 0.326 O
0.585 0.738 0.500 O
0.613 0.109 0.633 O
0.740 0.298 0.007 O
0.885 0.366 0.375 O
0.893 0.716 0.077 O
0.974 0.589 0.664 O
0.985 0.948 0.306 O
```

***

## Q
Compound: MgV5O12
Source: Materials Project
Functional: GGA+U
Structure: optimized geometry

Calculated values
As for the crystal system: triclinic. The calculation puts the size of the total moment at 3.0 μB per formula unit.

```
MgV5O12
1.0
4.930 0.000 0.000
-0.063 5.299 0.000
-0.017 -0.845 7.661
Mg V O
1 5 12
direct
0.000 0.000 0.000 Mg
0.014 0.433 0.306 V
0.490 0.520 0.003 V
0.493 0.905 0.751 V
0.510 0.940 0.298 V
0.977 0.402 0.756 V
0.166 0.375 0.052 O
0.191 0.075 0.754 O
0.199 0.700 0.357 O
0.317 0.196 0.354 O
0.323 0.591 0.767 O
0.367 0.866 0.070 O
0.612 0.896 0.546 O
0.685 0.577 0.214 O
0.691 0.204 0.875 O
0.788 0.703 0.874 O
0.817 0.082 0.236 O
0.882 0.403 0.546 O
```

***

## R
Compound: MgV5O12
Source: Materials Project
Functional: GGA+U
Structure: optimized geometry

Calculated values
As for the crystal system: triclinic. The calculation puts the size of the total moment at 3.0 μB per formula unit.

```
MgV5O12
1.0
5.047 0.000 0.000
-0.141 5.320 0.000
-0.090 -0.724 7.520
Mg V O
1 5 12
direct
0.000 0.000 0.000 Mg
0.020 0.592 0.222 V
0.479 0.090 0.676 V
0.495 0.685 0.911 V
0.516 0.117 0.224 V
0.977 0.565 0.683 V
0.160 0.573 0.959 O
0.196 0.251 0.656 O
0.202 0.873 0.258 O
0.320 0.768 0.684 O
0.327 0.370 0.268 O
0.391 0.043 0.981 O
0.607 0.066 0.462 O
0.676 0.380 0.788 O
0.710 0.757 0.126 O
0.787 0.864 0.788 O
0.822 0.259 0.161 O
0.899 0.575 0.464 O
```

***

Short version: Q is the most stable of them.

***

## P
Compound: Mg3V2O8
Source: Materials Project
Functional: GGA+U
Structure: optimized geometry

Calculated values
As for the crystal system: trigonal.

```
Mg3V2O8
1.0
3.046 1.758 4.646
-3.046 1.758 4.646
0.000 -3.517 4.646
Mg V O
3 2 8
direct
0.000 0.500 0.500 Mg
0.500 0.000 0.500 Mg
0.500 0.500 0.000 Mg
0.123 0.123 0.123 V
0.877 0.877 0.877 V
0.227 0.764 0.764 O
0.236 0.236 0.773 O
0.236 0.773 0.236 O
0.256 0.256 0.256 O
0.744 0.744 0.744 O
0.764 0.227 0.764 O
0.764 0.764 0.227 O
0.773 0.236 0.236 O
```

***

## Q
Compound: Mg3V2O8
Source: Materials Project
Functional: GGA+U
Structure: optimized geometry

Calculated values
As for the crystal system: orthorhombic.

```
Mg3V2O8
1.0
3.063 -5.809 0.000
3.063 5.809 0.000
0.000 0.000 8.424
Mg V O
6 4 16
direct
0.000 0.000 0.000 Mg
0.114 0.386 0.250 Mg
0.386 0.114 0.750 Mg
0.500 0.500 0.500 Mg
0.614 0.886 0.250 Mg
0.886 0.614 0.750 Mg
0.120 0.880 0.380 V
0.380 0.620 0.880 V
0.620 0.380 0.120 V
0.880 0.120 0.620 V
0.003 0.997 0.755 O
0.112 0.346 0.500 O
0.154 0.388 0.000 O
0.249 0.751 0.275 O
0.251 0.749 0.775 O
0.346 0.112 0.500 O
0.388 0.154 0.000 O
0.497 0.503 0.255 O
0.503 0.497 0.745 O
0.612 0.846 0.000 O
0.654 0.888 0.500 O
0.749 0.251 0.225 O
0.751 0.249 0.725 O
0.846 0.612 0.000 O
0.888 0.654 0.500 O
0.997 0.003 0.245 O
```

***

Short version: Q is the most stable of them.